Record 1
{"formula": "Y9AlGe3S21", "functional": "PBE", "state": "optimized geometry", "corrected_energy_ev_per_fu": -225.4, "formation_enthalpy_0k_ev_per_atom": -1.8459, "total_magnetization_mub_per_atom": 0.0000, "cell": [[-4.902, 8.491, -5.875], [-9.805, 0.000, 5.875], [4.902, 8.491, 5.875]], "species": ["Y", "Y", "Y", "Y", "Y", "Y", "Y", "Y", "Y", "Y", "Y", "Y", "Y", "Y", "Y", "Y", "Y", "Y", "Al", "Al", "Ge", "Ge", "Ge", "Ge", "Ge", "Ge", "S", "S", "S", "S", "S", "S", "S", "S", "S", "S", "S", "S", "S", "S", "S", "S", "S", "S", "S", "S", "S", "S", "S", "S", "S", "S", "S", "S", "S", "S", "S", "S", "S", "S", "S", "S", "S", "S", "S", "S", "S", "S"], "fractional_positions": [[0.038, 0.095, 0.307], [0.704, 0.434, 0.660], [0.381, 0.762, 0.982], [0.340, 0.296, 0.434], [0.018, 0.619, 0.762], [0.693, 0.962, 0.095], [0.238, 0.982, 0.619], [0.905, 0.307, 0.962], [0.566, 0.660, 0.296], [0.544, 0.316, 0.092], [0.220, 0.647, 0.436], [0.869, 0.990, 0.767], [0.233, 0.131, 0.990], [0.908, 0.456, 0.316], [0.564, 0.780, 0.647], [0.353, 0.436, 0.780], [0.010, 0.767, 0.131], [0.684, 0.092, 0.456], [0.109, 0.891, 0.891], [0.609, 0.391, 0.391], [0.902, 0.766, 0.432], [0.568, 0.098, 0.766], [0.234, 0.432, 0.098], [0.401, 0.932, 0.265], [0.068, 0.265, 0.599], [0.735, 0.599, 0.932], [0.068, 0.838, 0.365], [0.729, 0.174, 0.691], [0.395, 0.507, 0.022], [0.978, 0.605, 0.507], [0.635, 0.932, 0.838], [0.309, 0.271, 0.174], [0.826, 0.691, 0.271], [0.493, 0.022, 0.605], [0.162, 0.365, 0.932], [0.346, 0.751, 0.228], [0.010, 0.085, 0.559], [0.682, 0.416, 0.904], [0.441, 0.990, 0.085], [0.096, 0.318, 0.416], [0.772, 0.654, 0.751], [0.584, 0.904, 0.318], [0.249, 0.228, 0.654], [0.915, 0.559, 0.990], [0.842, 0.000, 0.262], [0.512, 0.339, 0.582], [0.167, 0.691, 0.929], [0.071, 0.833, 0.691], [0.738, 0.158, 0.000], [0.418, 0.488, 0.339], [0.661, 0.582, 0.488], [0.309, 0.929, 0.833], [0.000, 0.262, 0.158], [0.378, 0.780, 0.518], [0.048, 0.100, 0.856], [0.697, 0.445, 0.207], [0.144, 0.952, 0.100], [0.793, 0.303, 0.445], [0.482, 0.622, 0.780], [0.555, 0.207, 0.303], [0.220, 0.518, 0.622], [0.900, 0.856, 0.952], [0.614, 0.728, 0.058], [0.272, 0.058, 0.386], [0.942, 0.386, 0.728], [0.773, 0.886, 0.559], [0.441, 0.227, 0.886], [0.114, 0.559, 0.227]]}

***

Record 2
{"formula": "Sm2AlGe6", "functional": "PBE", "state": "optimized geometry", "formation_enthalpy_0k_ev_per_atom": -0.4385, "total_magnetization_mub_per_atom": 0.0000, "cell": [[-5.103, -1.936, -2.570], [0.686, -5.156, 3.055], [-6.630, 2.101, 8.025]], "species": ["Sm", "Sm", "Sm", "Sm", "Al", "Al", "Ge", "Ge", "Ge", "Ge", "Ge", "Ge", "Ge", "Ge", "Ge", "Ge", "Ge", "Ge"], "fractional_positions": [[0.665, 0.160, 0.339], [0.840, 0.335, 0.661], [0.335, 0.840, 0.661], [0.160, 0.665, 0.339], [0.199, 0.199, 0.199], [0.801, 0.801, 0.801], [0.505, 0.934, 0.117], [0.066, 0.495, 0.883], [0.495, 0.066, 0.883], [0.934, 0.505, 0.117], [0.636, 0.636, 0.412], [0.364, 0.364, 0.588], [0.852, 0.852, 0.560], [0.148, 0.148, 0.440], [0.509, 0.509, 0.117], [0.491, 0.491, 0.883], [0.930, 0.930, 0.117], [0.070, 0.070, 0.883]]}

***

VASP energy
In order: -6.320, -4.985
Unit: eV per atom